The following is a DFT calculation (PBE-GGA) of a geometry-optimized Mg3Si4 structure.

The structure in POSCAR format:
```
Mg3Si4
1.0
1.951 8.266 0.000
-1.951 8.266 0.000
0.000 0.207 8.098
Mg Si
6 8
Cartesian
0.000 0.533 3.723
0.000 15.621 0.359
0.000 2.361 0.698
0.000 13.048 1.735
0.000 3.962 4.205
0.000 7.346 5.898
0.000 10.724 3.012
0.000 14.285 4.320
0.000 10.538 5.555
0.000 1.145 6.448
0.000 8.732 1.712
0.000 5.258 7.754
0.000 6.593 2.925
0.000 12.910 6.347
```

Properties
* symmetry: Cm, No. 8
* DFT formation energy: 0.13 eV/atom
* V: 261 Å³ per cell
* ΔE to the lowest computed polymorph: 25 kJ/mol of formula units